First-principles (PBE-GGA) data for SrB8O13 after structural relaxation, as listed in Materials Project.

Lattice parameters (Å, degrees): 16.850 8.498 14.058 73.57 90.00 90.00
Fractional positions:
Sr 0.501 0.489 0.280
Sr 0.999 0.489 0.780
Sr 0.743 0.904 0.958
Sr 0.499 0.511 0.720
Sr 0.001 0.511 0.220
Sr 0.757 0.904 0.458
Sr 0.257 0.096 0.042
Sr 0.243 0.096 0.542
B 0.901 0.570 0.525
B 0.345 0.225 0.315
B 0.215 0.733 0.270
B 0.465 0.071 0.386
B 0.845 0.775 0.185
B 0.913 0.050 0.554
B 0.316 0.612 0.384
B 0.525 0.058 0.844
B 0.851 0.170 0.260
B 0.285 0.296 0.751
B 0.149 0.830 0.740
B 0.588 0.754 0.145
B 0.330 0.390 0.137
B 0.875 0.340 0.465
B 0.965 0.929 0.114
B 0.892 0.548 0.971
B 0.153 0.723 0.024
B 0.715 0.267 0.230
B 0.446 0.154 0.603
B 0.351 0.830 0.240
B 0.587 0.050 0.054
B 0.475 0.942 0.156
B 0.670 0.610 0.863
B 0.684 0.388 0.616
B 0.215 0.296 0.251
B 0.891 0.132 0.849
B 0.625 0.340 0.965
B 0.412 0.246 0.855
B 0.599 0.570 0.025
B 0.785 0.267 0.730
B 0.946 0.846 0.897
B 0.912 0.754 0.645
B 0.155 0.225 0.815
B 0.535 0.929 0.614
B 0.391 0.868 0.651
B 0.088 0.246 0.355
B 0.816 0.388 0.116
B 0.830 0.610 0.363
B 0.285 0.733 0.770
B 0.035 0.071 0.886
B 0.608 0.548 0.471
B 0.609 0.132 0.349
B 0.401 0.430 0.975
B 0.347 0.723 0.524
B 0.025 0.942 0.656
B 0.715 0.704 0.249
B 0.975 0.058 0.344
B 0.170 0.390 0.637
B 0.554 0.846 0.397
B 0.785 0.704 0.749
B 0.054 0.154 0.103
B 0.109 0.868 0.151
B 0.375 0.660 0.035
B 0.649 0.170 0.760
B 0.847 0.277 0.976
B 0.099 0.430 0.475
B 0.413 0.950 0.946
B 0.392 0.452 0.529
B 0.655 0.775 0.685
B 0.087 0.950 0.446
B 0.184 0.612 0.884
B 0.108 0.452 0.029
B 0.125 0.660 0.535
B 0.653 0.277 0.476
O 0.440 0.322 0.578
O 0.604 0.414 0.434
O 0.104 0.586 0.066
O 0.885 0.950 0.859
O 0.584 0.408 0.029
O 0.356 0.332 0.052
O 0.479 0.904 0.412
O 0.514 0.075 0.093
O 0.851 0.547 0.056
O 0.622 0.310 0.694
O 0.525 0.181 0.356
O 0.698 0.275 0.556
O 0.302 0.725 0.444
O 0.735 0.773 0.667
O 0.623 0.899 0.076
O 0.602 0.040 0.815
O 0.235 0.227 0.833
O 0.940 0.678 0.922
O 0.877 0.899 0.576
O 0.242 0.593 0.336
O 0.627 0.170 0.985
O 0.511 0.793 0.185
O 0.014 0.925 0.407
O 0.742 0.407 0.164
O 0.863 0.242 0.756
O 0.377 0.101 0.924
O 0.873 0.170 0.485
O 0.122 0.690 0.806
O 0.378 0.690 0.306
O 0.898 0.040 0.315
O 0.856 0.668 0.448
O 0.254 0.335 0.657
O 0.842 0.151 0.933
O 0.663 0.432 0.883
O 0.351 0.453 0.444
O 0.373 0.830 0.015
O 0.115 0.050 0.141
O 0.758 0.407 0.664
O 0.416 0.592 0.971
O 0.112 0.124 0.893
O 0.396 0.586 0.566
O 0.163 0.568 0.617
O 0.364 0.315 0.766
O 0.754 0.665 0.843
O 0.431 0.379 0.898
O 0.896 0.414 0.934
O 0.025 0.819 0.144
O 0.230 0.859 0.724
O 0.989 0.793 0.685
O 0.979 0.096 0.088
O 0.385 0.050 0.641
O 0.975 0.181 0.856
O 0.337 0.568 0.117
O 0.120 0.313 0.729
O 0.388 0.124 0.393
O 0.011 0.207 0.315
O 0.127 0.830 0.515
O 0.612 0.876 0.607
O 0.363 0.758 0.744
O 0.888 0.876 0.107
O 0.730 0.141 0.776
O 0.658 0.151 0.433
O 0.342 0.849 0.567
O 0.084 0.592 0.471
O 0.270 0.859 0.224
O 0.149 0.453 0.944
O 0.878 0.310 0.194
O 0.644 0.668 0.948
O 0.837 0.432 0.383
O 0.123 0.101 0.424
O 0.637 0.242 0.256
O 0.986 0.075 0.593
O 0.636 0.685 0.234
O 0.136 0.315 0.266
O 0.265 0.227 0.333
O 0.489 0.207 0.815
O 0.380 0.313 0.229
O 0.060 0.322 0.078
O 0.916 0.408 0.529
O 0.615 0.950 0.359
O 0.398 0.960 0.185
O 0.021 0.904 0.912
O 0.620 0.687 0.771
O 0.486 0.925 0.907
O 0.475 0.819 0.644
O 0.746 0.665 0.343
O 0.569 0.621 0.102
O 0.765 0.773 0.167
O 0.258 0.593 0.836
O 0.802 0.275 0.056
O 0.521 0.096 0.588
O 0.770 0.141 0.276
O 0.880 0.687 0.271
O 0.102 0.960 0.685
O 0.198 0.725 0.944
O 0.560 0.678 0.422
O 0.246 0.335 0.157
O 0.931 0.621 0.602
O 0.864 0.685 0.734
O 0.069 0.379 0.398
O 0.158 0.849 0.067
O 0.144 0.332 0.552
O 0.137 0.758 0.244
O 0.649 0.547 0.556

Properties
symmetry: P2_1/c (14)
total moment: 0.000 μB per formula unit
DFT formation energy: -2.938 eV per atom